(w)
A plane-wave DFT calculation with PBE was carried out for crystalline Pm2MgS4 at its relaxed geometry.

The space-group type is P-1 (2). The value obtained for the total magnetization is 0.0 μB per formula unit.

a = 7.610 Å, b = 8.840 Å, c = 11.826 Å
α = 79.48°, β = 83.41°, γ = 90.96°
Element x y z (fractional)
1 Pm 0.367 0.552 0.336
2 Pm 0.861 0.293 0.342
3 Pm 0.633 0.448 0.664
4 Pm 0.639 0.970 0.654
5 Pm 0.753 0.129 0.002
6 Pm 0.247 0.871 0.998
7 Pm 0.139 0.707 0.658
8 Pm 0.361 0.030 0.346
9 S 0.886 0.836 0.108
10 S 0.605 0.910 0.884
11 S 0.803 0.718 0.622
12 S 0.114 0.164 0.892
13 S 0.899 0.357 0.113
14 S 0.395 0.090 0.116
15 S 0.101 0.643 0.887
16 S 0.299 0.993 0.610
17 S 0.597 0.411 0.893
18 S 0.698 0.545 0.397
19 S 0.197 0.282 0.378
20 S 0.848 0.226 0.607
21 S 0.403 0.589 0.107
22 S 0.701 0.007 0.390
23 S 0.152 0.774 0.393
24 S 0.302 0.455 0.603
25 Mg 0.138 0.207 0.684
26 Mg 0.749 0.614 0.006
27 Mg 0.862 0.793 0.316
28 Mg 0.251 0.386 0.994



(x)
A plane-wave DFT calculation with PBE was carried out for crystalline Pm2MgS4 at its relaxed geometry.

The space-group type is I-42d (122). The value obtained for the total magnetization is 0.0 μB per formula unit.

a = 7.331 Å, b = 7.331 Å, c = 7.331 Å
α = 110.88°, β = 110.88°, γ = 106.68°
Element x y z (fractional)
1 S 0.990 0.361 0.234
2 S 0.111 0.240 0.734
3 S 0.243 0.010 0.370
4 S 0.507 0.377 0.266
5 S 0.760 0.493 0.870
6 S 0.127 0.757 0.766
7 S 0.623 0.889 0.130
8 S 0.639 0.873 0.630
9 Pm 0.243 0.625 0.118
10 Pm 0.375 0.493 0.618
11 Pm 0.507 0.125 0.882
12 Pm 0.875 0.757 0.382
13 Mg 0.750 0.250 0.500
14 Mg 0.000 0.000 0.000



(y)
A plane-wave DFT calculation with PBE was carried out for crystalline Pm2MgS4 at its relaxed geometry.

The value obtained for the total magnetization is 0.0 μB per formula unit.

a = 16.175 Å, b = 16.175 Å, c = 16.175 Å
α = 60.00°, β = 60.00°, γ = 60.00°
Element x y z (fractional)
1 S 0.192 0.936 0.436
2 S 0.936 0.936 0.692
3 S 0.436 0.692 0.436
4 S 0.189 0.689 0.189
5 S 0.189 0.189 0.433
6 S 0.436 0.436 0.192
7 S 0.436 0.936 0.436
8 S 0.936 0.192 0.936
9 S 0.192 0.436 0.936
10 S 0.692 0.436 0.436
11 S 0.689 0.689 0.933
12 S 0.189 0.189 0.189
13 S 0.689 0.689 0.433
14 S 0.933 0.189 0.689
15 S 0.189 0.433 0.689
16 S 0.936 0.436 0.692
17 S 0.689 0.189 0.689
18 S 0.689 0.189 0.433
19 S 0.689 0.933 0.189
20 S 0.192 0.936 0.936
21 S 0.436 0.936 0.936
22 S 0.689 0.433 0.189
23 S 0.433 0.689 0.689
24 S 0.936 0.436 0.936
25 S 0.189 0.433 0.189
26 S 0.936 0.936 0.936
27 S 0.192 0.436 0.436
28 S 0.689 0.933 0.689
29 S 0.936 0.936 0.436
30 S 0.933 0.189 0.189
31 S 0.692 0.436 0.936
32 S 0.436 0.192 0.936
33 S 0.436 0.192 0.436
34 S 0.436 0.436 0.436
35 S 0.936 0.692 0.436
36 S 0.436 0.936 0.692
37 S 0.689 0.689 0.189
38 S 0.936 0.436 0.436
39 S 0.936 0.192 0.436
40 S 0.933 0.689 0.689
41 S 0.436 0.436 0.692
42 S 0.433 0.689 0.189
43 S 0.936 0.436 0.192
44 S 0.436 0.692 0.936
45 S 0.433 0.189 0.689
46 S 0.692 0.936 0.936
47 S 0.689 0.189 0.933
48 S 0.189 0.689 0.933
49 S 0.189 0.689 0.689
50 S 0.436 0.436 0.936
51 S 0.189 0.189 0.689
52 S 0.189 0.189 0.933
53 S 0.689 0.189 0.189
54 S 0.433 0.189 0.189
55 S 0.189 0.933 0.189
56 S 0.189 0.933 0.689
57 S 0.436 0.936 0.192
58 S 0.936 0.936 0.192
59 S 0.689 0.433 0.689
60 S 0.189 0.689 0.433
61 S 0.692 0.936 0.436
62 S 0.933 0.689 0.189
63 S 0.689 0.689 0.689
64 S 0.936 0.692 0.936
65 Pm 0.562 0.812 0.312
66 Pm 0.312 0.312 0.312
67 Pm 0.812 0.312 0.812
68 Pm 0.312 0.062 0.312
69 Pm 0.812 0.562 0.312
70 Pm 0.312 0.312 0.062
71 Pm 0.312 0.812 0.062
72 Pm 0.062 0.312 0.312
73 Pm 0.812 0.812 0.812
74 Pm 0.312 0.312 0.562
75 Pm 0.312 0.812 0.812
76 Pm 0.562 0.812 0.812
77 Pm 0.812 0.062 0.812
78 Pm 0.062 0.812 0.812
79 Pm 0.312 0.812 0.312
80 Pm 0.312 0.062 0.812
81 Pm 0.312 0.812 0.562
82 Pm 0.062 0.812 0.312
83 Pm 0.062 0.312 0.812
84 Pm 0.562 0.312 0.812
85 Pm 0.812 0.312 0.312
86 Pm 0.812 0.562 0.812
87 Pm 0.312 0.312 0.812
88 Pm 0.812 0.312 0.062
89 Pm 0.812 0.062 0.312
90 Pm 0.812 0.812 0.562
91 Pm 0.312 0.562 0.812
92 Pm 0.562 0.312 0.312
93 Pm 0.812 0.812 0.062
94 Pm 0.812 0.312 0.562
95 Pm 0.812 0.812 0.312
96 Pm 0.312 0.562 0.312
97 Mg 0.000 0.000 0.500
98 Mg 0.125 0.625 0.625
99 Mg 0.500 0.500 0.500
100 Mg 0.000 0.000 0.000
101 Mg 0.500 0.500 0.000
102 Mg 0.625 0.125 0.625
103 Mg 0.500 0.000 0.500
104 Mg 0.500 0.000 0.000
105 Mg 0.000 0.500 0.000
106 Mg 0.625 0.625 0.625
107 Mg 0.125 0.625 0.125
108 Mg 0.000 0.500 0.500
109 Mg 0.125 0.125 0.125
110 Mg 0.625 0.625 0.125
111 Mg 0.625 0.125 0.125
112 Mg 0.125 0.125 0.625



Comparing the structures above, (y) comes out on top by 8 meV per atom.